[1]
# Sr11InSb9, optimized geometry, DFT meta-GGA r2SCAN
data_Sr11InSb9
_chemical_formula_sum 'Sr22 In2 Sb18'
_cell_length_a 12.690
_cell_length_b 12.690
_cell_length_c 12.690
_cell_angle_alpha 120.92
_cell_angle_beta 117.06
_cell_angle_gamma 91.79
_space_group_name_H-M_alt 'P 1'
_space_group_IT_number 1
loop_
_space_group_symop_operation_xyz
'x,y,z'
loop_
_atom_site_label
_atom_site_type_symbol
_atom_site_fract_x
_atom_site_fract_y
_atom_site_fract_z
Sb1 Sb 0.107 0.470 0.570
Sb2 Sb 0.996 0.994 0.354
Sr1 Sr 0.121 0.769 0.204
Sb3 Sb 0.050 0.043 0.716
Sr2 Sr 0.621 0.417 0.352
Sr3 Sr 0.065 0.269 0.648
Sb4 Sb 0.327 0.334 0.284
Sr4 Sr 0.820 0.820 0.000
Sr5 Sr 0.318 0.055 0.630
Sb5 Sb 0.400 0.970 0.363
Sr6 Sr 0.931 0.749 0.363
Sr7 Sr 0.886 0.249 0.818
Sr8 Sr 0.187 0.816 0.742
Sr9 Sr 0.926 0.555 0.737
Sb6 Sb 0.249 0.749 0.500
Sb7 Sb 0.550 0.834 0.007
Sr10 Sr 0.573 0.316 0.628
Sb8 Sb 0.882 0.127 0.013
Sb9 Sb 0.900 0.537 0.430
Sb10 Sb 0.749 0.249 0.500
Sb11 Sb 0.496 0.142 0.003
Sr11 Sr 0.431 0.068 0.182
Sr12 Sr 0.687 0.945 0.372
Sb12 Sb 0.381 0.368 0.755
Sb13 Sb 0.827 0.543 0.993
Sr13 Sr 0.565 0.917 0.796
Sb14 Sb 0.114 0.868 0.987
Sb15 Sb 0.607 0.037 0.637
Sr14 Sr 0.673 0.342 0.015
Sr15 Sr 0.386 0.568 0.637
Sr16 Sr 0.426 0.689 0.370
Sb16 Sb 0.614 0.627 0.245
Sr17 Sr 0.818 0.189 0.263
Sr18 Sr 0.073 0.445 0.258
Sr19 Sr 0.327 0.658 0.985
Sb17 Sb 0.139 0.494 0.998
Sb18 Sb 0.639 0.642 0.646
In1 In 0.106 0.106 0.000
Sr20 Sr 0.320 0.320 0.000
In2 In 0.606 0.606 0.000
Sr21 Sr 0.173 0.158 0.332
Sr22 Sr 0.827 0.842 0.668
# * magnetization: 0.00 μB/cell
# * crystal system: orthorhombic
# * symmetry: No. 45
# * total energy: -891.11 eV per cell

***

[2]
# DyCoO3, optimized geometry, DFT meta-GGA r2SCAN
data_DyCoO3
_chemical_formula_sum 'Dy4 Co4 O12'
_cell_length_a 5.121
_cell_length_b 5.414
_cell_length_c 7.353
_cell_angle_alpha 90.00
_cell_angle_beta 90.00
_cell_angle_gamma 90.00
_space_group_name_H-M_alt 'P 1'
_space_group_IT_number 1
loop_
_space_group_symop_operation_xyz
'x,y,z'
loop_
_atom_site_label
_atom_site_type_symbol
_atom_site_fract_x
_atom_site_fract_y
_atom_site_fract_z
O1 O 0.902 0.526 0.750
Dy1 Dy 0.519 0.570 0.250
O2 O 0.598 0.026 0.750
O3 O 0.693 0.301 0.451
O4 O 0.307 0.699 0.549
Co1 Co 0.500 0.000 0.000
O5 O 0.693 0.301 0.049
O6 O 0.098 0.474 0.250
Dy2 Dy 0.481 0.430 0.750
O7 O 0.807 0.801 0.451
O8 O 0.807 0.801 0.049
Co2 Co 0.000 0.500 0.500
O9 O 0.307 0.699 0.951
Co3 Co 0.500 0.000 0.500
O10 O 0.193 0.199 0.549
Dy3 Dy 0.981 0.070 0.250
Co4 Co 0.000 0.500 0.000
Dy4 Dy 0.019 0.930 0.750
O11 O 0.193 0.199 0.951
O12 O 0.402 0.974 0.250
# * magnetization: 0.00 μB/cell
# * crystal system: orthorhombic
# * symmetry: No. 62
# * total energy: -305.45 eV per cell

***

[3]
# LuCuAs2, optimized geometry, DFT meta-GGA r2SCAN
data_LuCuAs2
_chemical_formula_sum 'Lu2 Cu2 As4'
_cell_length_a 3.826
_cell_length_b 3.826
_cell_length_c 9.736
_cell_angle_alpha 90.00
_cell_angle_beta 90.00
_cell_angle_gamma 90.00
_space_group_name_H-M_alt 'P 1'
_space_group_IT_number 1
loop_
_space_group_symop_operation_xyz
'x,y,z'
loop_
_atom_site_label
_atom_site_type_symbol
_atom_site_fract_x
_atom_site_fract_y
_atom_site_fract_z
Cu1 Cu 0.500 0.500 0.500
Lu1 Lu 0.000 0.500 0.765
As1 As 0.500 0.000 0.664
Lu2 Lu 0.500 0.000 0.235
As2 As 0.000 0.000 0.000
As3 As 0.500 0.500 0.000
As4 As 0.000 0.500 0.336
Cu2 Cu 0.000 0.000 0.500
# * magnetization: 0.00 μB/cell
# * crystal system: tetragonal
# * symmetry: No. 129
# * total energy: -163.60 eV per cell

***

[4]
# SrFe4Sb12, optimized geometry, DFT meta-GGA r2SCAN
data_SrFe4Sb12
_chemical_formula_sum 'Sr1 Fe4 Sb12'
_cell_length_a 7.949
_cell_length_b 7.949
_cell_length_c 7.949
_cell_angle_alpha 109.47
_cell_angle_beta 109.47
_cell_angle_gamma 109.47
_space_group_name_H-M_alt 'P 1'
_space_group_IT_number 1
loop_
_space_group_symop_operation_xyz
'x,y,z'
loop_
_atom_site_label
_atom_site_type_symbol
_atom_site_fract_x
_atom_site_fract_y
_atom_site_fract_z
Sb1 Sb 0.663 0.502 0.839
Sb2 Sb 0.825 0.161 0.663
Sb3 Sb 0.663 0.825 0.161
Fe1 Fe 0.500 0.500 0.500
Fe2 Fe 0.500 0.000 0.000
Sb4 Sb 0.498 0.161 0.337
Sb5 Sb 0.839 0.663 0.502
Sr1 Sr 0.000 0.000 0.000
Sb6 Sb 0.839 0.337 0.175
Fe3 Fe 0.000 0.500 0.000
Sb7 Sb 0.175 0.839 0.337
Sb8 Sb 0.337 0.175 0.839
Fe4 Fe 0.000 0.000 0.500
Sb9 Sb 0.161 0.337 0.498
Sb10 Sb 0.502 0.839 0.663
Sb11 Sb 0.337 0.498 0.161
Sb12 Sb 0.161 0.663 0.825
# * magnetization: 1.99 μB/cell
# * crystal system: cubic
# * symmetry: No. 204
# * total energy: -382.72 eV per cell

***

[5]
# Mg2CoH5, optimized geometry, DFT meta-GGA r2SCAN
data_Mg2CoH5
_chemical_formula_sum 'Mg4 Co2 H10'
_cell_length_a 4.411
_cell_length_b 4.411
_cell_length_c 6.533
_cell_angle_alpha 90.00
_cell_angle_beta 90.00
_cell_angle_gamma 90.00
_space_group_name_H-M_alt 'P 1'
_space_group_IT_number 1
loop_
_space_group_symop_operation_xyz
'x,y,z'
loop_
_atom_site_label
_atom_site_type_symbol
_atom_site_fract_x
_atom_site_fract_y
_atom_site_fract_z
Mg1 Mg 0.250 0.750 0.000
H1 H 0.491 0.491 0.229
H2 H 0.509 0.509 0.771
Mg2 Mg 0.250 0.750 0.500
H3 H 0.991 0.509 0.771
H4 H 0.009 0.009 0.229
Mg3 Mg 0.750 0.250 0.500
H5 H 0.991 0.991 0.771
Co1 Co 0.250 0.250 0.258
H6 H 0.750 0.750 0.506
H7 H 0.009 0.491 0.229
H8 H 0.509 0.991 0.771
Co2 Co 0.750 0.750 0.742
H9 H 0.491 0.009 0.229
H10 H 0.250 0.250 0.494
Mg4 Mg 0.750 0.250 0.000
# * magnetization: 0.00 μB/cell
# * crystal system: tetragonal
# * symmetry: No. 129
# * total energy: -82.47 eV per cell

***

[6]
# Li6MgCl8, optimized geometry, DFT meta-GGA r2SCAN
data_Li6MgCl8
_chemical_formula_sum 'Li24 Mg4 Cl32'
_cell_length_a 10.223
_cell_length_b 10.223
_cell_length_c 10.223
_cell_angle_alpha 90.00
_cell_angle_beta 90.00
_cell_angle_gamma 90.00
_space_group_name_H-M_alt 'P 1'
_space_group_IT_number 1
loop_
_space_group_symop_operation_xyz
'x,y,z'
loop_
_atom_site_label
_atom_site_type_symbol
_atom_site_fract_x
_atom_site_fract_y
_atom_site_fract_z
Li1 Li 0.250 0.250 0.500
Li2 Li 0.750 0.000 0.250
Cl1 Cl 0.750 0.750 0.750
Cl2 Cl 0.000 0.743 0.500
Cl3 Cl 0.000 0.000 0.757
Li3 Li 0.250 0.750 0.000
Mg1 Mg 0.500 0.500 0.000
Cl4 Cl 0.757 0.000 0.000
Mg2 Mg 0.500 0.000 0.500
Mg3 Mg 0.000 0.500 0.500
Mg4 Mg 0.000 0.000 0.000
Li4 Li 0.250 0.000 0.250
Li5 Li 0.250 0.750 0.500
Cl5 Cl 0.000 0.257 0.500
Li6 Li 0.000 0.250 0.250
Li7 Li 0.250 0.500 0.250
Cl6 Cl 0.500 0.743 0.000
Li8 Li 0.250 0.500 0.750
Li9 Li 0.250 0.250 0.000
Cl7 Cl 0.500 0.000 0.743
Cl8 Cl 0.000 0.757 0.000
Cl9 Cl 0.000 0.000 0.243
Cl10 Cl 0.000 0.500 0.743
Cl11 Cl 0.743 0.000 0.500
Cl12 Cl 0.757 0.500 0.500
Cl13 Cl 0.500 0.757 0.500
Cl14 Cl 0.250 0.750 0.750
Cl15 Cl 0.750 0.250 0.750
Cl16 Cl 0.243 0.000 0.000
Li10 Li 0.750 0.750 0.500
Cl17 Cl 0.257 0.000 0.500
Cl18 Cl 0.250 0.250 0.750
Li11 Li 0.750 0.500 0.750
Li12 Li 0.000 0.750 0.250
Cl19 Cl 0.243 0.500 0.500
Li13 Li 0.500 0.250 0.750
Cl20 Cl 0.500 0.500 0.757
Cl21 Cl 0.500 0.000 0.257
Li14 Li 0.750 0.250 0.000
Cl22 Cl 0.500 0.257 0.000
Cl23 Cl 0.743 0.500 0.000
Cl24 Cl 0.000 0.500 0.257
Li15 Li 0.750 0.250 0.500
Li16 Li 0.000 0.250 0.750
Li17 Li 0.500 0.750 0.750
Cl25 Cl 0.500 0.243 0.500
Cl26 Cl 0.500 0.500 0.243
Cl27 Cl 0.250 0.750 0.250
Li18 Li 0.750 0.000 0.750
Li19 Li 0.750 0.750 0.000
Li20 Li 0.750 0.500 0.250
Cl28 Cl 0.750 0.250 0.250
Cl29 Cl 0.250 0.250 0.250
Cl30 Cl 0.750 0.750 0.250
Li21 Li 0.500 0.250 0.250
Cl31 Cl 0.257 0.500 0.000
Cl32 Cl 0.000 0.243 0.000
Li22 Li 0.000 0.750 0.750
Li23 Li 0.500 0.750 0.250
Li24 Li 0.250 0.000 0.750
# * magnetization: 0.00 μB/cell
# * total energy: -393.10 eV per cell

***

[7]
# MgNiF6, optimized geometry, DFT meta-GGA r2SCAN
data_MgNiF6
_chemical_formula_sum 'Mg1 Ni1 F6'
_cell_length_a 5.165
_cell_length_b 5.165
_cell_length_c 5.165
_cell_angle_alpha 55.42
_cell_angle_beta 55.42
_cell_angle_gamma 55.42
_space_group_name_H-M_alt 'P 1'
_space_group_IT_number 1
loop_
_space_group_symop_operation_xyz
'x,y,z'
loop_
_atom_site_label
_atom_site_type_symbol
_atom_site_fract_x
_atom_site_fract_y
_atom_site_fract_z
F1 F 0.769 0.373 0.094
F2 F 0.906 0.231 0.627
F3 F 0.373 0.094 0.769
Ni1 Ni 0.000 0.000 0.000
Mg1 Mg 0.500 0.500 0.500
F4 F 0.094 0.769 0.373
F5 F 0.231 0.627 0.906
F6 F 0.627 0.906 0.231
# * magnetization: 0.00 μB/cell
# * crystal system: trigonal
# * symmetry: No. 148
# * total energy: -54.66 eV per cell

***

[8]
# Ti8Bi9, optimized geometry, DFT meta-GGA r2SCAN
data_Ti8Bi9
_chemical_formula_sum 'Ti16 Bi18'
_cell_length_a 7.431
_cell_length_b 10.289
_cell_length_c 10.289
_cell_angle_alpha 90.00
_cell_angle_beta 90.00
_cell_angle_gamma 90.00
_space_group_name_H-M_alt 'P 1'
_space_group_IT_number 1
loop_
_space_group_symop_operation_xyz
'x,y,z'
loop_
_atom_site_label
_atom_site_type_symbol
_atom_site_fract_x
_atom_site_fract_y
_atom_site_fract_z
Bi1 Bi 0.500 0.250 0.750
Ti1 Ti 0.850 0.750 0.393
Bi2 Bi 0.346 0.415 0.085
Ti2 Ti 0.850 0.750 0.107
Ti3 Ti 0.000 0.000 0.500
Bi3 Bi 0.500 0.750 0.250
Ti4 Ti 0.000 0.500 0.500
Bi4 Bi 0.654 0.915 0.585
Ti5 Ti 0.000 0.000 0.000
Ti6 Ti 0.150 0.893 0.250
Bi5 Bi 0.809 0.487 0.250
Ti7 Ti 0.575 0.250 0.250
Bi6 Bi 0.654 0.915 0.915
Ti8 Ti 0.919 0.750 0.750
Bi7 Bi 0.809 0.250 0.013
Ti9 Ti 0.150 0.607 0.250
Bi8 Bi 0.346 0.085 0.415
Bi9 Bi 0.191 0.987 0.750
Bi10 Bi 0.809 0.013 0.250
Bi11 Bi 0.654 0.585 0.585
Ti10 Ti 0.425 0.750 0.750
Ti11 Ti 0.150 0.250 0.607
Bi12 Bi 0.346 0.415 0.415
Ti12 Ti 0.850 0.107 0.750
Bi13 Bi 0.191 0.750 0.987
Ti13 Ti 0.150 0.250 0.893
Bi14 Bi 0.191 0.750 0.513
Bi15 Bi 0.809 0.250 0.487
Bi16 Bi 0.191 0.513 0.750
Bi17 Bi 0.346 0.085 0.085
Ti14 Ti 0.000 0.500 0.000
Bi18 Bi 0.654 0.585 0.915
Ti15 Ti 0.850 0.393 0.750
Ti16 Ti 0.081 0.250 0.250
# * magnetization: 3.68 μB/cell
# * crystal system: tetragonal
# * symmetry: No. 129
# * total energy: -1267.20 eV per cell